Here is a relaxed structure of Li3Ni2P3O12 from the Materials Project database. Energies are from PBE with a Hubbard U.

Values from the calculation:
uncorrected energy	-0.2292	Ha/atom
formation enthalpy at 0 K	-45.17	eV per formula unit
excess energy over the best structure of this formula in the dataset	1.4	kJ/mol of atoms

Cell and atoms, written as CIF:
```
data_Li3Ni2P3O12
_chemical_formula_sum 'Li12 Ni8 P12 O48'
_cell_length_a 11.573
_cell_length_b 12.523
_cell_length_c 6.317
_cell_angle_alpha 90.00
_cell_angle_beta 113.59
_cell_angle_gamma 90.00
_space_group_name_H-M_alt 'C 1 2/c 1'
_space_group_IT_number 15
_space_group_name_Hall '-C 2yc'
loop_
_atom_site_label
_atom_site_fract_x
_atom_site_fract_y
_atom_site_fract_z
Li1 0.000 0.000 0.000
Li2 0.000 0.213 0.250
Li3 0.000 0.481 0.250
Ni1 0.214 0.339 0.131
P1 0.000 0.212 0.750
P2 0.235 0.400 0.635
O1 0.042 0.281 0.973
O2 0.100 0.134 0.732
O3 0.125 0.077 0.302
O4 0.151 0.499 0.104
O5 0.172 0.336 0.406
O6 0.223 0.324 0.823
```